The following is a DFT calculation (GGA-PBE) of a relaxed structure of Mg14TiCo.

a = 6.2508 Å, b = 6.2508 Å, c = 10.0188 Å
α = 90.00°, β = 90.00°, γ = 120.00°
Fractional positions:
1 Mg 0.8333 0.6667 0.8692
2 Mg 0.6679 0.3358 0.1250
3 Mg 0.8503 0.1752 0.3657
4 Mg 0.3248 0.6497 0.3657
5 Mg 0.3248 0.6497 0.8843
6 Mg 0.3248 0.1752 0.8843
7 Mg 0.3248 0.1752 0.3657
8 Mg 0.6635 0.3269 0.6250
9 Mg 0.1642 0.8321 0.1250
10 Mg 0.8333 0.6667 0.3808
11 Mg 0.6679 0.8321 0.1250
12 Mg 0.8503 0.1752 0.8843
13 Mg 0.6635 0.8365 0.6250
14 Mg 0.1731 0.8365 0.6250
15 Co 0.1667 0.3333 0.1250
16 Ti 0.1667 0.3333 0.6250

Results
Crystal system = hexagonal
Total magnetic moment = 0.15 μB/cell
ρ = 2.2 g cm⁻³
Energy of formation from the pure elements = 0.122 eV/atom
Energy above the most stable polymorph in this dataset = 25 meV/atom

The following is a DFT calculation (GGA-PBE) of a relaxed structure of AsXeF7.

a = 6.4570 Å, b = 6.5178 Å, c = 16.6131 Å
α = 77.64°, β = 90.00°, γ = 90.00°
Fractional positions:
1 F 0.2220 0.1215 0.8764
2 F 0.8265 0.1516 0.9942
3 F 0.1280 0.4522 0.7279
4 F 0.0104 0.8441 0.4136
5 F 0.7772 0.4289 0.0809
6 F 0.9541 0.8457 0.8804
7 F 0.6280 0.5478 0.7721
8 F 0.3720 0.4522 0.2279
9 F 0.2228 0.5711 0.9191
10 F 0.8720 0.5478 0.2721
11 F 0.7780 0.8785 0.1236
12 F 0.3265 0.8484 0.5058
13 F 0.6735 0.1516 0.4942
14 F 0.2333 0.8526 0.2852
15 F 0.1735 0.8484 0.0058
16 F 0.0459 0.1543 0.1196
17 F 0.4541 0.1543 0.6196
18 F 0.7228 0.4289 0.5809
19 F 0.7333 0.1474 0.2148
20 F 0.5459 0.8457 0.3804
21 F 0.5104 0.1559 0.0864
22 F 0.2667 0.8526 0.7852
23 F 0.7220 0.8785 0.6236
24 F 0.4896 0.8441 0.9136
25 F 0.9896 0.1559 0.5864
26 F 0.7667 0.1474 0.7148
27 F 0.2772 0.5711 0.4191
28 F 0.2780 0.1215 0.3764
29 As 0.7245 0.1525 0.6111
30 As 0.2245 0.8475 0.8889
31 As 0.7755 0.1525 0.1111
32 As 0.2755 0.8475 0.3889
33 Xe 0.2814 0.6366 0.1215
34 Xe 0.7186 0.3634 0.8785
35 Xe 0.2186 0.6366 0.6215
36 Xe 0.7814 0.3634 0.3785

Results
Crystal system = monoclinic
ρ = 3.3 g cm⁻³
Energy with MP2020 corrections = -3.91 eV/atom
Energy of formation from the pure elements = -1.895 eV/atom

The following is a DFT calculation (GGA-PBE) of a relaxed structure of Mg2Si.

a = 4.6216 Å, b = 6.1424 Å, c = 7.9743 Å
α = 90.00°, β = 90.00°, γ = 90.00°
Fractional positions:
1 Mg 0.7500 0.7338 0.5823
2 Mg 0.7500 0.0045 0.2581
3 Mg 0.7500 0.5045 0.2419
4 Mg 0.2500 0.9955 0.7419
5 Mg 0.2500 0.2662 0.4177
6 Mg 0.7500 0.2338 0.9177
7 Mg 0.2500 0.7662 0.0823
8 Mg 0.2500 0.4955 0.7581
9 Si 0.7500 0.2414 0.5837
10 Si 0.2500 0.2586 0.0837
11 Si 0.7500 0.7414 0.9163
12 Si 0.2500 0.7586 0.4163

Results
Crystal system = orthorhombic
Total magnetic moment = 0.00 μB/cell
ρ = 2.3 g cm⁻³
Energy with MP2020 corrections = -2.85 eV/atom
Energy of formation from the pure elements = 0.024 eV/atom

The following is a DFT calculation (GGA-PBE) of a relaxed structure of CaDyAl4.

a = 5.6001 Å, b = 5.6001 Å, c = 5.6001 Å
α = 60.00°, β = 60.00°, γ = 60.00°
Fractional positions:
1 Ca 0.2500 0.2500 0.2500
2 Al 0.1239 0.6254 0.6254
3 Al 0.6254 0.6254 0.6254
4 Al 0.6254 0.6254 0.1239
5 Al 0.6254 0.1239 0.6254
6 Dy 0.0000 0.0000 0.0000

Results
Crystal system = cubic
Total magnetic moment = 0.00 μB/cell
ρ = 4.2 g cm⁻³
Energy of formation from the pure elements = -0.402 eV/atom

no.,E_tot (eV/cell)
1,-35.458
2,-127.685
3,-34.504
4,-24.004